Arrangement one

U6P13Rh20 | PBE | optimized geometry

The total magnetization comes out at 3.55 Bohr magnetons per cell. Its space-group type is P-3.

Cell lengths 13.4033, 13.4033, 3.8760 Å; angles 90.00, 90.00, 120.00 degrees
Fractional positions:
U: 0.5273 0.7182 0.2493
U: 0.2818 0.8091 0.2493
U: 0.1909 0.4727 0.2493
U: 0.4727 0.2818 0.7507
U: 0.7182 0.1909 0.7507
U: 0.8091 0.5273 0.7507
P: 0.5263 0.1398 0.2498
P: 0.8602 0.3865 0.2498
P: 0.6135 0.4737 0.2498
P: 0.9439 0.7155 0.2533
P: 0.2845 0.2285 0.2533
P: 0.7715 0.0561 0.2533
P: 0.3865 0.5263 0.7502
P: 0.4737 0.8602 0.7502
P: 0.1398 0.6135 0.7502
P: 0.7155 0.7715 0.7467
P: 0.2285 0.9439 0.7467
P: 0.0561 0.2845 0.7467
P: 0.0000 0.0000 0.0000
Rh: 0.3333 0.6667 0.7494
Rh: 0.9227 0.2523 0.2516
Rh: 0.7477 0.6704 0.2516
Rh: 0.3296 0.0773 0.2516
Rh: 0.4394 0.0216 0.7505
Rh: 0.9784 0.4178 0.7505
Rh: 0.5822 0.5606 0.7505
Rh: 0.6667 0.3333 0.2506
Rh: 0.0943 0.1865 0.2504
Rh: 0.8135 0.9079 0.2504
Rh: 0.0921 0.9057 0.2504
Rh: 0.0216 0.5822 0.2495
Rh: 0.4178 0.4394 0.2495
Rh: 0.5606 0.9784 0.2495
Rh: 0.6704 0.9227 0.7484
Rh: 0.0773 0.7477 0.7484
Rh: 0.2523 0.3296 0.7484
Rh: 0.9057 0.8135 0.7496
Rh: 0.1865 0.0921 0.7496
Rh: 0.9079 0.0943 0.7496

=====

Arrangement two

U6P13Rh20 | PBE | optimized geometry

The total magnetization comes out at 12.41 Bohr magnetons per cell. Its space-group type is P-6.

Cell lengths 13.4605, 13.4605, 3.8655 Å; angles 90.00, 90.00, 120.00 degrees
Fractional positions:
U: 0.1903 0.4743 0.0000
U: 0.5257 0.7159 0.0000
U: 0.2841 0.8097 0.0000
U: 0.7179 0.1889 0.5000
U: 0.8111 0.5290 0.5000
U: 0.4710 0.2821 0.5000
P: 0.3884 0.5267 0.5000
P: 0.4733 0.8617 0.5000
P: 0.1383 0.6116 0.5000
P: 0.7716 0.0579 0.0000
P: 0.9421 0.7137 0.0000
P: 0.2863 0.2284 0.0000
P: 0.0542 0.2854 0.5000
P: 0.7146 0.7688 0.5000
P: 0.2312 0.9458 0.5000
P: 0.5264 0.1394 0.0000
P: 0.8606 0.3870 0.0000
P: 0.6130 0.4736 0.0000
P: 0.0000 0.0000 0.0000
Rh: 0.4394 0.0210 0.5000
Rh: 0.9790 0.4184 0.5000
Rh: 0.5816 0.5606 0.5000
Rh: 0.6667 0.3333 0.0000
Rh: 0.4174 0.4370 0.0000
Rh: 0.5630 0.9803 0.0000
Rh: 0.0197 0.5826 0.0000
Rh: 0.9242 0.2528 0.0000
Rh: 0.7472 0.6714 0.0000
Rh: 0.3286 0.0758 0.0000
Rh: 0.3333 0.6667 0.5000
Rh: 0.9064 0.0926 0.5000
Rh: 0.9074 0.8138 0.5000
Rh: 0.1862 0.0936 0.5000
Rh: 0.0975 0.1924 0.0000
Rh: 0.8076 0.9050 0.0000
Rh: 0.0950 0.9025 0.0000
Rh: 0.2506 0.3311 0.5000
Rh: 0.6689 0.9195 0.5000
Rh: 0.0805 0.7494 0.5000

=====

In eV/atom, relative to the most stable structure: arrangement one 0.000; arrangement two 0.006.

=====

Arrangement one

P4S5 | PBE | optimized geometry

Its space-group type is P2_1/m.

Cell lengths 12.2571, 6.7922, 7.1630 Å; angles 62.82, 90.00, 90.00 degrees
Fractional positions:
P: 0.7500 0.2890 0.6412
P: 0.2500 0.7110 0.3588
P: 0.7500 0.8556 0.2281
P: 0.2500 0.1444 0.7719
P: 0.8454 0.4280 0.1533
P: 0.3454 0.5720 0.8467
P: 0.1546 0.5720 0.8467
P: 0.6546 0.4280 0.1533
S: 0.7500 0.6345 0.5577
S: 0.2500 0.3654 0.4423
S: 0.8802 0.7589 0.0909
S: 0.3802 0.2411 0.9091
S: 0.1198 0.2411 0.9091
S: 0.6198 0.7589 0.0909
S: 0.8802 0.2308 0.4760
S: 0.3802 0.7692 0.5240
S: 0.1198 0.7692 0.5240
S: 0.6198 0.2308 0.4760

=====

Arrangement two

P4S5 | PBE | optimized geometry

The piezoelectric modulus e_max comes out at 0.2 C/m2. Its space-group type is P2_1.

Cell lengths 11.5621, 6.9205, 7.5148 Å; angles 67.11, 90.00, 90.00 degrees
Fractional positions:
P: 0.9864 0.6801 0.6048
P: 0.4864 0.3199 0.3952
P: 0.8650 0.4641 0.5276
P: 0.3650 0.5359 0.4724
P: 0.7427 0.7414 0.4464
P: 0.2427 0.2586 0.5536
P: 0.7637 0.4856 0.9254
P: 0.2637 0.5144 0.0746
S: 0.9292 0.6300 0.8893
S: 0.4292 0.3700 0.1107
S: 0.7976 0.2664 0.7908
S: 0.2976 0.7336 0.2092
S: 0.6580 0.7058 0.7083
S: 0.1580 0.2942 0.2917
S: 0.8875 0.9403 0.4027
S: 0.3875 0.0597 0.5973
S: 0.6310 0.8271 0.2368
S: 0.1310 0.1729 0.7632

=====

In eV/atom, relative to the most stable structure: arrangement one 0.013; arrangement two 0.000.

=====

Arrangement one

P2S3 | PBE | optimized geometry

Its space-group type is P2_1/c.

Cell lengths 10.4789, 4.6310, 11.6351 Å; angles 67.08, 90.00, 90.00 degrees
Fractional positions:
P: 0.3011 0.8801 0.2285
P: 0.6989 0.1199 0.7715
P: 0.8011 0.1199 0.2715
P: 0.1989 0.8801 0.7285
P: 0.1868 0.5904 0.0199
P: 0.8132 0.4096 0.9801
P: 0.6868 0.4096 0.4801
P: 0.3132 0.5904 0.5199
S: 0.3581 0.3306 0.0972
S: 0.6419 0.6694 0.9028
S: 0.8581 0.6694 0.4028
S: 0.1419 0.3306 0.5972
S: 0.1269 0.7757 0.1535
S: 0.8731 0.2243 0.8465
S: 0.6269 0.2243 0.3465
S: 0.3731 0.7757 0.6535
S: 0.2155 0.9763 0.3781
S: 0.7845 0.0237 0.6219
S: 0.7155 0.0237 0.1219
S: 0.2845 0.9763 0.8781

=====

Arrangement two

P2S3 | PBE | optimized geometry

Its space-group type is P2_1/c.

Cell lengths 13.2037, 7.5359, 12.3509 Å; angles 78.78, 90.00, 90.00 degrees
Fractional positions:
P: 0.9163 0.7202 0.1663
P: 0.4163 0.2798 0.3337
P: 0.0837 0.2798 0.8337
P: 0.5837 0.7202 0.6663
P: 0.9370 0.7466 0.4301
P: 0.4370 0.2534 0.0699
P: 0.0630 0.2534 0.5699
P: 0.5630 0.7466 0.9301
P: 0.0958 0.7764 0.3434
P: 0.5958 0.2236 0.1566
P: 0.9042 0.2236 0.6566
P: 0.4042 0.7764 0.8434
P: 0.9515 0.1459 0.2472
P: 0.4515 0.8541 0.2528
P: 0.0485 0.8541 0.7528
P: 0.5485 0.1459 0.7472
S: 0.8952 0.0016 0.1230
S: 0.3952 0.9984 0.3770
S: 0.1048 0.9984 0.8770
S: 0.6048 0.0016 0.6230
S: 0.8512 0.6165 0.3228
S: 0.3512 0.3835 0.1772
S: 0.1488 0.3835 0.6772
S: 0.6488 0.6165 0.8228
S: 0.0707 0.6585 0.2027
S: 0.5707 0.3415 0.2973
S: 0.9293 0.3415 0.7973
S: 0.4293 0.6585 0.7027
S: 0.8618 0.6142 0.0488
S: 0.3618 0.3858 0.4512
S: 0.1382 0.3858 0.9512
S: 0.6382 0.6142 0.5488
S: 0.8838 0.0188 0.3977
S: 0.3838 0.9812 0.1023
S: 0.1162 0.9812 0.6023
S: 0.6162 0.0188 0.8977
S: 0.1024 0.0593 0.2812
S: 0.6024 0.9407 0.2188
S: 0.8976 0.9407 0.7188
S: 0.3976 0.0593 0.7812

=====

In eV/atom, relative to the most stable structure: arrangement one 0.016; arrangement two 0.000.

=====

Arrangement one

ZnSiP2 | PBE | optimized geometry

The piezoelectric modulus e_max comes out at 0.1 C/m2. Its space-group type is I-42d.

Cell lengths 6.5159, 6.5159, 6.5159 Å; angles 130.83, 130.83, 72.08 degrees
Fractional positions:
Zn: 0.0000 0.0000 0.0000
Zn: 0.7500 0.2500 0.5000
Si: 0.5000 0.5000 0.0000
Si: 0.2500 0.7500 0.5000
P: 0.3750 0.3931 0.5181
P: 0.8750 0.8569 0.4819
P: 0.6069 0.1250 0.9819
P: 0.1431 0.6250 0.0181

=====

Arrangement two

ZnSiP2 | PBE | optimized geometry

The total magnetization comes out at 0.00 Bohr magnetons per cell. Its space-group type is Fm-3m.

Cell lengths 4.3987, 4.3987, 4.3987 Å; angles 60.00, 60.00, 60.00 degrees
Fractional positions:
Zn: 0.0000 0.0000 0.0000
Si: 0.5000 0.5000 0.5000
P: 0.7500 0.7500 0.7500
P: 0.2500 0.2500 0.2500

=====

In eV/atom, relative to the most stable structure: arrangement one 0.000; arrangement two 0.797.